Density functional theory data (PBE with a Hubbard U) for crystalline YMo3F15 at its relaxed geometry.

Geometry as POSCAR:
```
YMo3F15
1.0
10.7210 0.0000 0.0000
0.0000 5.6274 0.0000
0.0000 1.0035 9.9443
Y Mo F
2 6 30
Direct
0.7500 0.4181 0.7039
0.2500 0.5819 0.2961
0.5000 0.0000 0.5000
0.5536 0.0335 0.1575
0.4464 0.9665 0.8425
0.0000 0.0000 0.5000
0.9464 0.0335 0.1575
0.0536 0.9665 0.8425
0.7500 0.7014 0.5564
0.7500 0.9752 0.1712
0.7500 0.6586 0.8393
0.2500 0.2986 0.4436
0.2500 0.3414 0.1607
0.2500 0.0248 0.8288
0.4006 0.1472 0.6434
0.4771 0.2165 0.3188
0.4180 0.1485 0.0105
0.5994 0.8528 0.3566
0.5820 0.8515 0.9895
0.5229 0.7835 0.6812
0.1299 0.7731 0.4620
0.0862 0.7894 0.1966
0.1135 0.6569 0.9011
0.8701 0.2269 0.5380
0.8865 0.3431 0.0989
0.9138 0.2106 0.8034
0.6299 0.2269 0.5380
0.6135 0.3431 0.0989
0.5862 0.2106 0.8034
0.3701 0.7731 0.4620
0.4138 0.7894 0.1966
0.3865 0.6569 0.9011
0.0994 0.1472 0.6434
0.0229 0.2165 0.3188
0.0820 0.1485 0.0105
0.9006 0.8528 0.3566
0.9180 0.8515 0.9895
0.9771 0.7835 0.6812
```

Results
Energy relative to the elements = -55.320 eV per formula unit
Magnetization = 6.00 μB/f.u.